Record 1
Computed, not measured: a relaxed structure of Sr2NdTaCu2O8 at the PBE level of DFT.

electronic total energy = -7.21 eV per atom
energy relative to the elements = -2.761 eV per atom
corrected total energy (MP2020 scheme) = -106.441 eV/cell
energy above the most stable polymorph in this dataset = 15 meV/atom

abc: 3.954 3.954 11.748
angles: 90.00 90.00 90.00
Sites, in units of the cell vectors:
Ta: 0.000 0.000 0.000
O: 0.000 0.500 0.000
O: 0.500 0.000 0.631
O: 0.000 0.500 0.631
O: 0.000 0.500 0.369
O: 0.500 0.000 0.000
O: 0.500 0.000 0.369
O: 0.000 0.000 0.168
O: 0.000 0.000 0.832
Sr: 0.500 0.500 0.199
Sr: 0.500 0.500 0.801
Cu: 0.000 0.000 0.643
Cu: 0.000 0.000 0.357
Nd: 0.500 0.500 0.500

***

Record 2
Computed, not measured: a relaxed structure of Sr2NdTaCu2O8 at the PBE level of DFT.

electronic total energy = -7.23 eV per atom
energy relative to the elements = -2.776 eV per atom
corrected total energy (MP2020 scheme) = -213.311 eV/cell
energy above the most stable polymorph in this dataset = 0 meV/atom

abc: 5.530 5.530 12.548
angles: 102.74 102.74 90.10
Sites, in units of the cell vectors:
O: 0.929 0.909 0.835
O: 0.317 0.817 0.008
O: 0.562 0.574 0.630
O: 0.940 0.440 0.372
O: 0.438 0.426 0.370
O: 0.813 0.687 0.000
O: 0.071 0.091 0.165
O: 0.427 0.927 0.368
O: 0.409 0.429 0.835
O: 0.591 0.571 0.165
O: 0.060 0.560 0.628
O: 0.926 0.938 0.370
O: 0.683 0.183 0.992
O: 0.187 0.313 0.000
O: 0.573 0.073 0.632
O: 0.074 0.062 0.630
Cu: 0.675 0.674 0.354
Cu: 0.174 0.175 0.354
Cu: 0.325 0.326 0.646
Cu: 0.826 0.825 0.646
Sr: 0.095 0.595 0.199
Sr: 0.402 0.902 0.800
Sr: 0.905 0.405 0.801
Sr: 0.598 0.098 0.200
Nd: 0.249 0.749 0.500
Nd: 0.751 0.251 0.500
Ta: 0.000 0.000 0.000
Ta: 0.500 0.500 0.000

***

Record 3
Computed, not measured: a relaxed structure of NdCuTeO at the PBE level of DFT.

electronic total energy = -6.04 eV per atom
energy relative to the elements = -1.969 eV per atom
corrected total energy (MP2020 scheme) = -49.670 eV/cell

abc: 4.123 4.123 9.408
angles: 90.00 90.00 90.00
Sites, in units of the cell vectors:
O: 0.000 0.000 0.500
O: 0.500 0.500 0.500
Te: 0.000 0.500 0.820
Te: 0.500 0.000 0.180
Cu: 0.000 0.000 0.000
Cu: 0.500 0.500 0.000
Nd: 0.000 0.500 0.377
Nd: 0.500 0.000 0.623

***

Record 4
Computed, not measured: a relaxed structure of Nd2Ti12Cu9O36 at the PBE level of DFT.

electronic total energy = -7.71 eV per atom
energy relative to the elements = -2.716 eV per atom
corrected total energy (MP2020 scheme) = -479.566 eV/cell

abc: 10.537 10.537 6.474
angles: 90.00 90.00 120.00
Sites, in units of the cell vectors:
O: 0.018 0.164 0.829
O: 0.074 0.449 0.751
O: 0.592 0.884 0.915
O: 0.808 0.316 0.485
O: 0.175 0.525 0.150
O: 0.044 0.268 0.413
O: 0.475 0.650 0.150
O: 0.884 0.292 0.085
O: 0.825 0.475 0.850
O: 0.192 0.684 0.515
O: 0.146 0.982 0.829
O: 0.708 0.592 0.085
O: 0.449 0.375 0.249
O: 0.316 0.508 0.515
O: 0.408 0.116 0.085
O: 0.982 0.836 0.171
O: 0.732 0.776 0.413
O: 0.551 0.625 0.751
O: 0.224 0.956 0.413
O: 0.292 0.408 0.915
O: 0.956 0.732 0.587
O: 0.375 0.926 0.751
O: 0.926 0.551 0.249
O: 0.268 0.224 0.587
O: 0.854 0.018 0.171
O: 0.836 0.854 0.829
O: 0.684 0.492 0.485
O: 0.350 0.825 0.150
O: 0.508 0.192 0.485
O: 0.525 0.350 0.850
O: 0.625 0.074 0.249
O: 0.164 0.146 0.171
O: 0.650 0.175 0.850
O: 0.116 0.708 0.915
O: 0.492 0.808 0.515
O: 0.776 0.044 0.587
Ti: 0.500 0.000 0.000
Ti: 0.158 0.318 0.663
Ti: 0.842 0.682 0.337
Ti: 0.840 0.158 0.337
Ti: 0.682 0.840 0.663
Ti: 0.000 0.500 0.000
Ti: 0.318 0.160 0.337
Ti: 0.333 0.667 0.340
Ti: 0.000 0.000 0.000
Ti: 0.667 0.333 0.660
Ti: 0.500 0.500 0.000
Ti: 0.160 0.842 0.663
Cu: 0.833 0.168 0.836
Cu: 0.167 0.832 0.164
Cu: 0.335 0.167 0.836
Cu: 0.500 0.500 0.500
Cu: 0.000 0.500 0.500
Cu: 0.832 0.665 0.836
Cu: 0.665 0.833 0.164
Cu: 0.168 0.335 0.164
Cu: 0.500 0.000 0.500
Nd: 0.667 0.333 0.171
Nd: 0.333 0.667 0.829

***

Record 5
Computed, not measured: a relaxed structure of NdCu3Pd2 at the PBE level of DFT.

electronic total energy = -4.96 eV per atom
energy relative to the elements = -0.391 eV per atom

abc: 5.189 5.189 5.189
angles: 122.03 116.65 91.20
Sites, in units of the cell vectors:
Nd: 0.001 0.001 0.000
Cu: 0.252 0.752 0.500
Cu: 0.623 0.872 0.250
Cu: 0.623 0.373 0.750
Pd: 0.623 0.376 0.247
Pd: 0.128 0.376 0.753

***

Record 6
Computed, not measured: a relaxed structure of NdCu4Pd at the PBE level of DFT.

electronic total energy = -4.66 eV per atom
energy relative to the elements = -0.270 eV per atom

abc: 5.210 5.210 5.210
angles: 57.76 57.76 57.76
Sites, in units of the cell vectors:
Pd: 0.625 0.625 0.625
Cu: 0.628 0.628 0.130
Cu: 0.240 0.240 0.240
Cu: 0.130 0.628 0.628
Cu: 0.628 0.130 0.628
Nd: 0.999 0.999 0.999

***

Which formula does entry 6 have?
NdCu4Pd

***

electronic total energy of number 6 (NdCu4Pd)?
-4.66 eV per atom